A geometry-optimized Mg14ZrBi structure, computed with PBE-GGA.

Structure (POSCAR):
```
Mg14ZrBi
1.0
6.396 0.000 0.000
-3.198 5.539 0.000
0.000 0.000 10.523
Mg Bi Zr
14 1 1
direct
0.833 0.667 0.882
0.172 0.836 0.125
0.330 0.661 0.368
0.664 0.328 0.125
0.330 0.170 0.368
0.833 0.667 0.368
0.839 0.170 0.882
0.668 0.832 0.625
0.839 0.170 0.368
0.164 0.832 0.625
0.668 0.336 0.625
0.330 0.661 0.882
0.330 0.170 0.882
0.664 0.836 0.125
0.167 0.333 0.625
0.167 0.333 0.125
```

Properties
volume: 23.303 Å³/atom
offset from the most stable computed form: 11.0 meV/atom
magnetic moment: 0.000 μB/f.u.
SG: P-6m2, No. 187